{"formula": "Rb2Te2Pt", "functional": "meta-GGA r2SCAN", "state": "optimized geometry", "cell": [[-2.011, 4.102, 5.376], [2.011, -4.102, 5.376], [2.011, 4.102, -5.376]], "species": ["Rb", "Rb", "Te", "Te", "Pt"], "fractional_positions": [[0.202, 0.202, 0.000], [0.798, 0.798, 0.000], [0.288, 0.500, 0.788], [0.712, 0.500, 0.212], [0.500, 0.000, 0.500]], "space_group": "Immm", "energy_ev_per_cell": -135.00, "rho_g_cm3": 5.82, "formation_energy_kj_per_mol_fu": -464}



{"formula": "Zr2SeN2", "functional": "meta-GGA r2SCAN", "state": "optimized geometry", "cell": [[3.651, 0.000, 0.000], [-1.825, 3.162, 0.000], [0.000, 0.000, 6.656]], "species": ["Zr", "Zr", "Se", "N", "N"], "fractional_positions": [[0.333, 0.667, 0.304], [0.667, 0.333, 0.696], [0.000, 0.000, 0.000], [0.333, 0.667, 0.631], [0.667, 0.333, 0.369]], "space_group": "P-3m1", "energy_ev_per_cell": -87.63, "rho_g_cm3": 6.26, "formation_energy_kj_per_mol_fu": -923}



{"formula": "Ca5MgC6O18", "functional": "meta-GGA r2SCAN", "state": "optimized geometry", "cell": [[6.238, 0.000, 0.000], [-2.323, 7.574, 0.000], [-1.957, -3.782, 7.429]], "species": ["Ca", "Ca", "Ca", "Ca", "Ca", "Mg", "C", "C", "C", "C", "C", "C", "O", "O", "O", "O", "O", "O", "O", "O", "O", "O", "O", "O", "O", "O", "O", "O", "O", "O"], "fractional_positions": [[0.000, 0.000, 0.000], [0.320, 0.318, 0.667], [0.328, 0.824, 0.666], [0.672, 0.176, 0.334], [0.680, 0.682, 0.333], [0.000, 0.500, 0.000], [0.166, 0.899, 0.319], [0.167, 0.422, 0.324], [0.490, 0.737, 0.001], [0.510, 0.263, 0.999], [0.833, 0.578, 0.676], [0.834, 0.101, 0.681], [0.003, 0.720, 0.225], [0.065, 0.342, 0.151], [0.088, 0.329, 0.410], [0.232, 0.981, 0.492], [0.260, 0.998, 0.242], [0.326, 0.094, 0.900], [0.345, 0.594, 0.412], [0.380, 0.646, 0.076], [0.424, 0.660, 0.828], [0.576, 0.340, 0.172], [0.620, 0.354, 0.924], [0.655, 0.406, 0.588], [0.674, 0.906, 0.100], [0.740, 0.002, 0.758], [0.768, 0.019, 0.508], [0.912, 0.671, 0.590], [0.935, 0.658, 0.849], [0.997, 0.280, 0.775]], "relative_energy_ev_per_atom": 0.005, "space_group": "P-1", "energy_ev_per_cell": -277.79, "rho_g_cm3": 2.77, "formation_energy_kj_per_mol_fu": -6874}



{"formula": "Li3CrFe3O8", "functional": "meta-GGA r2SCAN", "state": "optimized geometry", "cell": [[5.112, 0.000, 0.000], [-2.519, 7.321, 0.000], [-0.847, -0.936, 7.640]], "species": ["Li", "Li", "Li", "Li", "Li", "Li", "Cr", "Cr", "Fe", "Fe", "Fe", "Fe", "Fe", "Fe", "O", "O", "O", "O", "O", "O", "O", "O", "O", "O", "O", "O", "O", "O", "O", "O"], "fractional_positions": [[0.000, 0.000, 0.000], [0.123, 0.127, 0.379], [0.376, 0.378, 0.118], [0.500, 0.500, 0.500], [0.624, 0.622, 0.882], [0.877, 0.873, 0.621], [0.431, 0.938, 0.812], [0.569, 0.062, 0.188], [0.080, 0.555, 0.689], [0.186, 0.689, 0.066], [0.309, 0.808, 0.436], [0.691, 0.192, 0.564], [0.814, 0.311, 0.934], [0.920, 0.445, 0.311], [0.060, 0.785, 0.846], [0.073, 0.346, 0.521], [0.201, 0.912, 0.219], [0.209, 0.480, 0.916], [0.300, 0.014, 0.596], [0.312, 0.597, 0.284], [0.429, 0.143, 0.981], [0.461, 0.725, 0.659], [0.539, 0.275, 0.341], [0.571, 0.857, 0.019], [0.688, 0.403, 0.716], [0.700, 0.986, 0.404], [0.791, 0.520, 0.084], [0.799, 0.088, 0.781], [0.927, 0.654, 0.479], [0.940, 0.215, 0.154]], "space_group": "P-1", "energy_ev_per_cell": -283.94, "rho_g_cm3": 4.28, "formation_energy_kj_per_mol_fu": -2771}